[1]
This record from the Materials Project database describes a geometry-optimized TmGaO3 structure. The functional is PBE-GGA.

a b c (Å): 5.241 5.571 7.600
angles (deg): 90.00 90.00 90.00
Fractional coordinates of all 20 atoms:
Ga 0.500 0.000 0.000
O 0.379 0.046 0.250
Tm 0.978 0.929 0.250
O 0.692 0.694 0.438
Tm 0.478 0.571 0.750
O 0.308 0.306 0.562
O 0.621 0.954 0.750
O 0.879 0.454 0.750
O 0.308 0.306 0.938
Ga 0.000 0.500 0.500
O 0.692 0.694 0.062
Ga 0.000 0.500 0.000
O 0.121 0.546 0.250
O 0.192 0.806 0.562
Ga 0.500 0.000 0.500
O 0.808 0.194 0.062
Tm 0.522 0.429 0.250
Tm 0.022 0.071 0.750
O 0.192 0.806 0.938
O 0.808 0.194 0.438

Output
DFT total energy, eV per atom: -7.218
Corrected total energy (MP2020 scheme), hartree per atom: -0.280
Mass density, g/cm3: 8.58
Magnetization, μB per formula unit: 0.000

=====

[2]
This record from the Materials Project database describes a geometry-optimized DyErTe2 structure. The functional is PBE-GGA.

a b c (Å): 4.325 4.325 6.157
angles (deg): 90.00 90.00 90.00
Fractional coordinates of all 4 atoms:
Te 0.000 0.000 0.500
Te 0.500 0.500 0.000
Dy 0.000 0.000 0.000
Er 0.500 0.500 0.500

Output
DFT total energy, eV per atom: -5.106
Corrected total energy (MP2020 scheme), hartree per atom: -0.195
Mass density, g/cm3: 8.43

=====

[3]
This record from the Materials Project database describes a geometry-optimized Na4Be2Si6SnO20 structure. The functional is PBE-GGA.

a b c (Å): 11.174 11.174 12.013
angles (deg): 64.69 64.69 39.29
Fractional coordinates of all 66 atoms:
Na 0.046 0.548 0.053
O 0.384 0.485 0.233
Si 0.601 0.690 0.243
Si 0.690 0.601 0.743
O 0.212 0.685 0.440
Si 0.884 0.380 0.443
Na 0.457 0.526 0.976
O 0.589 0.082 0.718
O 0.419 0.292 0.131
O 0.945 0.444 0.487
O 0.685 0.212 0.940
Si 0.195 0.095 0.243
O 0.009 0.120 0.755
Si 0.305 0.403 0.250
Si 0.120 0.612 0.550
O 0.554 0.052 0.008
O 0.800 0.298 0.550
Na 0.994 0.000 0.483
Si 0.612 0.120 0.050
O 0.236 0.175 0.615
O 0.417 0.912 0.274
O 0.823 0.757 0.879
O 0.052 0.554 0.508
Na 0.942 0.450 0.949
O 0.120 0.009 0.255
O 0.737 0.677 0.114
O 0.082 0.589 0.218
O 0.731 0.124 0.396
O 0.712 0.569 0.362
Na 0.526 0.457 0.476
Na 0.000 0.994 0.983
O 0.075 0.203 0.365
Na 0.450 0.942 0.449
O 0.979 0.886 0.246
O 0.569 0.712 0.862
O 0.933 0.792 0.627
O 0.263 0.321 0.879
Si 0.811 0.896 0.751
Be 0.342 0.156 0.997
Sn 0.745 0.255 0.745
Be 0.655 0.844 0.996
Na 0.548 0.046 0.553
O 0.485 0.384 0.733
O 0.677 0.737 0.614
O 0.313 0.816 0.598
O 0.292 0.419 0.631
O 0.521 0.608 0.256
O 0.912 0.417 0.774
O 0.608 0.521 0.756
Si 0.095 0.195 0.743
O 0.792 0.933 0.127
O 0.124 0.731 0.896
O 0.203 0.075 0.865
Be 0.844 0.655 0.496
O 0.816 0.313 0.098
O 0.321 0.263 0.379
Be 0.156 0.342 0.497
Sn 0.255 0.745 0.245
O 0.444 0.945 0.987
Si 0.896 0.811 0.251
O 0.175 0.236 0.115
O 0.886 0.979 0.746
O 0.298 0.800 0.050
Si 0.380 0.884 0.943
Si 0.403 0.305 0.750
O 0.757 0.823 0.379

Output
DFT total energy, eV per atom: -6.706
Corrected total energy (MP2020 scheme), hartree per atom: -0.262
Mass density, g/cm3: 2.81
Magnetization, μB per formula unit: 3.995

=====

[4]
This record from the Materials Project database describes a geometry-optimized TaMn2N3 structure. The functional is PBE-GGA.

a b c (Å): 5.783 5.798 4.369
angles (deg): 90.00 90.00 120.09
Fractional coordinates of all 12 atoms:
N 0.329 0.288 0.901
N 0.671 0.959 0.901
Mn 0.365 0.980 0.971
N 0.000 0.320 0.419
Mn 0.635 0.615 0.971
Ta 0.000 0.322 0.926
N 0.329 0.041 0.401
N 0.671 0.712 0.401
N 0.000 0.680 0.919
Mn 0.365 0.385 0.471
Mn 0.635 0.020 0.471
Ta 0.000 0.678 0.426

Output
DFT total energy, eV per atom: -9.604
Corrected total energy (MP2020 scheme), hartree per atom: -0.360
Mass density, g/cm3: 8.72
E above lowest polymorph, eV per atom: 0.0000
Magnetization, μB per formula unit: 1.977

=====

Copy entry 2 word for word.
This record from the Materials Project database describes a geometry-optimized DyErTe2 structure. The functional is PBE-GGA.

a b c (Å): 4.325 4.325 6.157
angles (deg): 90.00 90.00 90.00
Fractional coordinates of all 4 atoms:
Te 0.000 0.000 0.500
Te 0.500 0.500 0.000
Dy 0.000 0.000 0.000
Er 0.500 0.500 0.500

Output
DFT total energy, eV per atom: -5.106
Corrected total energy (MP2020 scheme), hartree per atom: -0.195
Mass density, g/cm3: 8.43

=====

- corrected total energy (MP2020 scheme) of number 4 (TaMn2N3)?
  -0.360 hartree per atom

=====

- Which of these has the highest DFT total energy?
  DyErTe2

=====

- corrected total energy (MP2020 scheme) of number 4 (TaMn2N3)?
  -0.360 hartree per atom